No. 1
{
  "formula": "Th2SN2",
  "functional": "r²SCAN",
  "state": "relaxed",
  "lattice": [[-3.844, 0.888, 0.760], [0.939, -2.362, -3.112], [-0.481, -5.594, 4.102]],
  "species": ["N", "N", "Th", "Th", "S"],
  "fractional_positions": [[0.333, 0.667, 0.631], [0.667, 0.333, 0.369], [0.667, 0.333, 0.712], [0.333, 0.667, 0.288], [0.000, 0.000, 0.000]],
  "crystal_system": "trigonal",
  "magnetic_moment_mub_per_cell": 0.0
}

No. 2
{
  "formula": "Nd4CdNi",
  "functional": "r²SCAN",
  "state": "relaxed",
  "lattice": [[-2.842, 4.965, 7.987], [-9.393, -0.271, 2.868], [-2.504, -4.852, 8.167]],
  "species": ["Nd", "Nd", "Nd", "Nd", "Nd", "Nd", "Nd", "Nd", "Nd", "Nd", "Nd", "Nd", "Nd", "Nd", "Nd", "Nd", "Ni", "Ni", "Ni", "Ni", "Cd", "Cd", "Cd", "Cd"],
  "fractional_positions": [[0.206, 0.598, 0.598], [0.598, 0.598, 0.598], [0.187, 0.813, 0.813], [0.813, 0.187, 0.187], [0.059, 0.441, 0.059], [0.598, 0.598, 0.206], [0.059, 0.059, 0.441], [0.813, 0.187, 0.813], [0.059, 0.441, 0.441], [0.187, 0.187, 0.813], [0.598, 0.206, 0.598], [0.441, 0.059, 0.441], [0.441, 0.441, 0.059], [0.187, 0.813, 0.187], [0.441, 0.059, 0.059], [0.813, 0.813, 0.187], [0.392, 0.392, 0.392], [0.392, 0.392, 0.823], [0.392, 0.823, 0.392], [0.823, 0.392, 0.392], [0.512, 0.829, 0.829], [0.829, 0.829, 0.829], [0.829, 0.829, 0.512], [0.829, 0.512, 0.829]],
  "crystal_system": "cubic",
  "magnetic_moment_mub_per_cell": 0.0
}

No. 3
{
  "formula": "LaInO3",
  "functional": "r²SCAN",
  "state": "relaxed",
  "lattice": [[-0.400, -1.915, -5.392], [0.382, -5.608, 1.963], [-8.217, -0.308, 0.719]],
  "species": ["O", "O", "O", "O", "O", "O", "O", "O", "O", "O", "O", "O", "In", "In", "In", "In", "La", "La", "La", "La"],
  "fractional_positions": [[0.804, 0.802, 0.561], [0.696, 0.302, 0.561], [0.615, 0.046, 0.250], [0.804, 0.802, 0.939], [0.304, 0.698, 0.439], [0.196, 0.198, 0.061], [0.115, 0.454, 0.750], [0.304, 0.698, 0.061], [0.885, 0.546, 0.250], [0.696, 0.302, 0.939], [0.385, 0.954, 0.750], [0.196, 0.198, 0.439], [0.000, 0.500, 0.000], [0.500, 0.000, 0.000], [0.500, 0.000, 0.500], [0.000, 0.500, 0.500], [0.984, 0.054, 0.750], [0.016, 0.946, 0.250], [0.484, 0.446, 0.250], [0.516, 0.554, 0.750]],
  "crystal_system": "orthorhombic",
  "magnetic_moment_mub_per_cell": 0.0
}

No. 4
{
  "formula": "GdSbPt",
  "functional": "r²SCAN",
  "state": "relaxed",
  "lattice": [[4.059, 0.000, 2.344], [1.353, 3.827, 2.344], [0.000, 0.000, 4.687]],
  "species": ["Sb", "Gd", "Pt"],
  "fractional_positions": [[0.000, 0.000, 0.000], [0.500, 0.500, 0.500], [0.250, 0.250, 0.250]],
  "crystal_system": "cubic",
  "magnetic_moment_mub_per_cell": 7.0
}

No. 5
{
  "formula": "La2Ni5B4",
  "functional": "r²SCAN",
  "state": "relaxed",
  "lattice": [[-3.255, 1.671, -3.583], [-4.178, -3.302, -1.404], [-5.305, 2.308, 2.236]],
  "species": ["B", "B", "B", "B", "Ni", "Ni", "Ni", "Ni", "Ni", "La", "La"],
  "fractional_positions": [[0.403, 0.059, 0.135], [0.221, 0.398, 0.159], [0.779, 0.602, 0.841], [0.597, 0.941, 0.865], [0.670, 0.281, 0.874], [0.825, 0.719, 0.126], [0.000, 0.500, 0.500], [0.330, 0.719, 0.126], [0.175, 0.281, 0.874], [0.725, 0.197, 0.353], [0.275, 0.803, 0.647]],
  "crystal_system": "monoclinic",
  "magnetic_moment_mub_per_cell": 0.0
}

No. 6
{
  "formula": "Cu",
  "functional": "r²SCAN",
  "state": "relaxed",
  "lattice": [[1.100, 0.846, -2.003], [2.202, -0.616, 0.949], [-0.834, -4.019, -0.672]],
  "species": ["Cu", "Cu"],
  "fractional_positions": [[0.134, 0.250, 0.268], [0.866, 0.750, 0.732]],
  "crystal_system": "orthorhombic",
  "magnetic_moment_mub_per_cell": 0.0
}

No. 7
{
  "formula": "GdAl2Si2",
  "functional": "r²SCAN",
  "state": "relaxed",
  "lattice": [[4.186, 0.000, 0.000], [-2.093, 3.625, 0.000], [0.000, 0.000, 6.674]],
  "species": ["Si", "Si", "Gd", "Al", "Al"],
  "fractional_positions": [[0.333, 0.667, 0.263], [0.667, 0.333, 0.737], [0.000, 0.000, 0.000], [0.667, 0.333, 0.359], [0.333, 0.667, 0.641]],
  "crystal_system": "trigonal",
  "magnetic_moment_mub_per_cell": 7.3
}

No. 8
{
  "formula": "SrNi2P2",
  "functional": "r²SCAN",
  "state": "relaxed",
  "lattice": [[-3.361, 1.438, 1.376], [-5.726, -4.167, -4.090], [-2.104, -5.257, 5.901]],
  "species": ["Ni", "Ni", "Ni", "Ni", "Ni", "Ni", "Sr", "Sr", "Sr", "P", "P", "P", "P", "P", "P"],
  "fractional_positions": [[0.500, 0.725, 0.275], [0.500, 0.275, 0.725], [0.846, 0.891, 0.417], [0.846, 0.417, 0.891], [0.154, 0.109, 0.583], [0.154, 0.583, 0.109], [0.313, 0.687, 0.687], [0.000, 0.000, 0.000], [0.687, 0.313, 0.313], [0.336, 0.000, 0.328], [0.336, 0.328, 0.000], [0.664, 0.672, 0.000], [0.000, 0.616, 0.384], [0.664, 0.000, 0.672], [0.000, 0.384, 0.616]],
  "crystal_system": "orthorhombic",
  "magnetic_moment_mub_per_cell": 0.0
}

No. 9
{
  "formula": "CaTiF5",
  "functional": "r²SCAN",
  "state": "relaxed",
  "lattice": [[-5.503, -0.368, 1.081], [-0.616, -1.160, 5.465], [-2.339, 6.275, 3.740]],
  "species": ["F", "F", "F", "F", "F", "F", "F", "F", "F", "F", "Ti", "Ti", "Ca", "Ca"],
  "fractional_positions": [[0.791, 0.751, 0.618], [0.209, 0.249, 0.382], [0.290, 0.688, 0.970], [0.751, 0.791, 0.118], [0.249, 0.209, 0.882], [0.312, 0.710, 0.530], [0.710, 0.312, 0.030], [0.688, 0.290, 0.470], [0.904, 0.096, 0.750], [0.096, 0.904, 0.250], [0.000, 0.000, 0.000], [0.000, 0.000, 0.500], [0.542, 0.458, 0.750], [0.458, 0.542, 0.250]],
  "crystal_system": "monoclinic",
  "magnetic_moment_mub_per_cell": 2.0
}

No. 10
{
  "formula": "Hf4AlSi",
  "functional": "r²SCAN",
  "state": "relaxed",
  "lattice": [[-3.330, 3.330, 2.607], [3.330, -3.330, 2.607], [3.330, 3.330, -2.607]],
  "species": ["Hf", "Hf", "Hf", "Hf", "Si", "Al"],
  "fractional_positions": [[0.596, 0.404, 0.500], [0.404, 0.904, 0.808], [0.904, 0.096, 0.500], [0.096, 0.596, 0.192], [0.000, 0.000, 0.000], [0.500, 0.500, 0.000]],
  "crystal_system": "tetragonal",
  "magnetic_moment_mub_per_cell": 0.0
}

No. 11
{
  "formula": "NdCd3",
  "functional": "r²SCAN",
  "state": "relaxed",
  "lattice": [[6.786, 0.000, 0.000], [-3.393, 5.877, 0.000], [0.000, 0.000, 4.949]],
  "species": ["Cd", "Cd", "Cd", "Cd", "Cd", "Cd", "Nd", "Nd"],
  "fractional_positions": [[0.843, 0.686, 0.750], [0.686, 0.843, 0.250], [0.157, 0.843, 0.250], [0.314, 0.157, 0.750], [0.157, 0.314, 0.250], [0.843, 0.157, 0.750], [0.667, 0.333, 0.250], [0.333, 0.667, 0.750]],
  "crystal_system": "hexagonal",
  "magnetic_moment_mub_per_cell": 0.0
}

No. 12
{
  "formula": "Pr3Bi4Pt3",
  "functional": "r²SCAN",
  "state": "relaxed",
  "lattice": [[-6.049, -6.082, -1.994], [-1.209, 2.738, 8.283], [-0.787, 6.836, -5.496]],
  "species": ["Pt", "Pt", "Pt", "Pt", "Pt", "Pt", "Pr", "Pr", "Pr", "Pr", "Pr", "Pr", "Bi", "Bi", "Bi", "Bi", "Bi", "Bi", "Bi", "Bi"],
  "fractional_positions": [[0.125, 0.750, 0.875], [0.375, 0.250, 0.625], [0.875, 0.125, 0.750], [0.250, 0.625, 0.375], [0.750, 0.875, 0.125], [0.625, 0.375, 0.250], [0.625, 0.750, 0.375], [0.250, 0.125, 0.875], [0.125, 0.875, 0.250], [0.875, 0.250, 0.125], [0.750, 0.375, 0.625], [0.375, 0.625, 0.750], [0.834, 0.834, 0.834], [0.666, 0.500, 0.000], [0.000, 0.666, 0.500], [0.166, 0.500, 0.000], [0.000, 0.166, 0.500], [0.334, 0.334, 0.334], [0.500, 0.000, 0.166], [0.500, 0.000, 0.666]],
  "crystal_system": "cubic",
  "magnetic_moment_mub_per_cell": 0.0
}

No. 13
{
  "formula": "Ti2CuTc",
  "functional": "r²SCAN",
  "state": "relaxed",
  "lattice": [[2.815, -2.511, 2.162], [1.340, 1.158, 3.971], [-1.320, -2.247, 3.481]],
  "species": ["Ti", "Ti", "Cu", "Tc"],
  "fractional_positions": [[0.000, 0.000, 0.000], [0.500, 0.500, 0.500], [0.250, 0.250, 0.250], [0.750, 0.750, 0.750]],
  "crystal_system": "cubic",
  "magnetic_moment_mub_per_cell": 0.0
}

No. 14
{
  "formula": "KHCN2",
  "functional": "r²SCAN",
  "state": "relaxed",
  "lattice": [[7.106, 0.000, 0.000], [0.000, 8.964, 0.000], [0.000, 0.000, 8.970]],
  "species": ["H", "H", "H", "H", "H", "H", "H", "H", "K", "K", "K", "K", "K", "K", "K", "K", "N", "N", "N", "N", "N", "N", "N", "N", "N", "N", "N", "N", "N", "N", "N", "N", "C", "C", "C", "C", "C", "C", "C", "C"],
  "fractional_positions": [[0.074, 0.550, 0.258], [0.668, 0.533, 0.185], [0.574, 0.950, 0.742], [0.332, 0.033, 0.315], [0.832, 0.467, 0.685], [0.168, 0.967, 0.815], [0.426, 0.450, 0.758], [0.926, 0.050, 0.242], [0.245, 0.396, 0.489], [0.755, 0.896, 0.011], [0.012, 0.247, 0.856], [0.255, 0.604, 0.989], [0.512, 0.253, 0.144], [0.488, 0.753, 0.356], [0.745, 0.104, 0.511], [0.988, 0.747, 0.644], [0.133, 0.344, 0.172], [0.617, 0.446, 0.388], [0.633, 0.156, 0.828], [0.364, 0.071, 0.420], [0.113, 0.653, 0.297], [0.136, 0.929, 0.920], [0.887, 0.153, 0.203], [0.636, 0.571, 0.080], [0.117, 0.054, 0.612], [0.867, 0.844, 0.328], [0.387, 0.347, 0.797], [0.367, 0.656, 0.672], [0.864, 0.429, 0.580], [0.613, 0.847, 0.703], [0.383, 0.946, 0.112], [0.883, 0.554, 0.888], [0.268, 0.942, 0.015], [0.232, 0.058, 0.515], [0.732, 0.442, 0.485], [0.768, 0.558, 0.985], [0.020, 0.247, 0.191], [0.480, 0.753, 0.691], [0.520, 0.253, 0.809], [0.980, 0.747, 0.309]],
  "crystal_system": "orthorhombic",
  "magnetic_moment_mub_per_cell": 0.0
}

No. 15
{
  "formula": "KTeF5",
  "functional": "r²SCAN",
  "state": "relaxed",
  "lattice": [[4.639, 0.000, 0.000], [0.000, 9.100, 0.000], [0.000, 0.000, 11.285]],
  "species": ["F", "F", "F", "F", "F", "F", "F", "F", "F", "F", "F", "F", "F", "F", "F", "F", "F", "F", "F", "F", "K", "K", "K", "K", "Te", "Te", "Te", "Te"],
  "fractional_positions": [[0.031, 0.807, 0.625], [0.614, 0.488, 0.373], [0.600, 0.710, 0.250], [0.969, 0.307, 0.875], [0.386, 0.512, 0.873], [0.386, 0.988, 0.127], [0.031, 0.693, 0.125], [0.600, 0.790, 0.750], [0.614, 0.012, 0.627], [0.400, 0.210, 0.250], [0.969, 0.193, 0.125], [0.400, 0.290, 0.750], [0.031, 0.807, 0.875], [0.614, 0.012, 0.873], [0.386, 0.988, 0.373], [0.969, 0.307, 0.625], [0.969, 0.193, 0.375], [0.031, 0.693, 0.375], [0.614, 0.488, 0.127], [0.386, 0.512, 0.627], [0.489, 0.250, 0.000], [0.511, 0.750, 0.500], [0.511, 0.750, 0.000], [0.489, 0.250, 0.500], [0.882, 0.560, 0.250], [0.118, 0.060, 0.250], [0.882, 0.940, 0.750], [0.118, 0.440, 0.750]],
  "crystal_system": "orthorhombic",
  "magnetic_moment_mub_per_cell": 0.0
}

No. 16
{
  "formula": "OsRu",
  "functional": "r²SCAN",
  "state": "relaxed",
  "lattice": [[-2.177, 0.484, -1.569], [2.178, 1.634, -0.149], [1.663, -2.498, -3.080]],
  "species": ["Os", "Ru"],
  "fractional_positions": [[0.667, 0.333, 0.750], [0.333, 0.667, 0.250]],
  "crystal_system": "hexagonal",
  "magnetic_moment_mub_per_cell": 0.0
}

No. 17
{
  "formula": "K4MgFe3P5O20",
  "functional": "r²SCAN",
  "state": "relaxed",
  "lattice": [[-1.333, 0.202, -9.588], [7.523, -5.971, -1.228], [-5.829, -7.501, 0.637]],
  "species": ["P", "P", "P", "P", "P", "P", "P", "P", "P", "P", "O", "O", "O", "O", "O", "O", "O", "O", "O", "O", "O", "O", "O", "O", "O", "O", "O", "O", "O", "O", "O", "O", "O", "O", "O", "O", "O", "O", "O", "O", "O", "O", "O", "O", "O", "O", "O", "O", "O", "O", "K", "K", "K", "K", "K", "K", "K", "K", "Fe", "Fe", "Fe", "Fe", "Fe", "Fe", "Mg", "Mg"],
  "fractional_positions": [[0.251, 0.078, 0.366], [0.751, 0.419, 0.135], [0.750, 0.918, 0.367], [0.419, 0.751, 0.635], [0.248, 0.577, 0.134], [0.918, 0.750, 0.867], [0.501, 0.000, 0.999], [0.078, 0.251, 0.866], [0.577, 0.248, 0.634], [0.000, 0.501, 0.499], [0.626, 0.370, 0.222], [0.571, 0.778, 0.677], [0.374, 0.622, 0.214], [0.629, 0.829, 0.328], [0.945, 0.622, 0.408], [0.119, 0.662, 0.174], [0.829, 0.629, 0.828], [0.878, 0.330, 0.174], [0.929, 0.273, 0.827], [0.590, 0.278, 0.476], [0.715, 0.410, 0.982], [0.370, 0.626, 0.722], [0.273, 0.929, 0.327], [0.662, 0.119, 0.674], [0.785, 0.911, 0.524], [0.423, 0.223, 0.668], [0.387, 0.060, 0.904], [0.622, 0.945, 0.908], [0.223, 0.423, 0.168], [0.778, 0.571, 0.177], [0.330, 0.878, 0.674], [0.216, 0.093, 0.522], [0.071, 0.725, 0.826], [0.883, 0.444, 0.588], [0.622, 0.374, 0.714], [0.556, 0.118, 0.092], [0.168, 0.377, 0.826], [0.444, 0.883, 0.088], [0.118, 0.556, 0.592], [0.410, 0.715, 0.482], [0.278, 0.590, 0.976], [0.725, 0.071, 0.326], [0.873, 0.883, 0.787], [0.122, 0.132, 0.285], [0.883, 0.873, 0.287], [0.060, 0.387, 0.404], [0.132, 0.122, 0.785], [0.377, 0.168, 0.326], [0.911, 0.785, 0.024], [0.093, 0.216, 0.022], [0.929, 0.170, 0.544], [0.666, 0.569, 0.462], [0.170, 0.929, 0.044], [0.434, 0.335, 0.953], [0.569, 0.666, 0.962], [0.073, 0.834, 0.538], [0.834, 0.073, 0.038], [0.335, 0.434, 0.453], [0.072, 0.307, 0.210], [0.571, 0.191, 0.288], [0.927, 0.694, 0.212], [0.191, 0.571, 0.788], [0.694, 0.927, 0.712], [0.307, 0.072, 0.710], [0.804, 0.430, 0.789], [0.430, 0.804, 0.289]],
  "crystal_system": "monoclinic",
  "magnetic_moment_mub_per_cell": 30.0
}

No. 18
{
  "formula": "Y2IrPd",
  "functional": "r²SCAN",
  "state": "relaxed",
  "lattice": [[0.000, 3.452, 3.452], [3.452, 0.000, 3.452], [3.452, 3.452, 0.000]],
  "species": ["Y", "Y", "Ir", "Pd"],
  "fractional_positions": [[0.500, 0.500, 0.500], [0.000, 0.000, 0.000], [0.250, 0.250, 0.250], [0.750, 0.750, 0.750]],
  "crystal_system": "cubic",
  "magnetic_moment_mub_per_cell": 0.0
}

Energy of formation in eV/f.u., matching the order above: -11.5; -1.5; -14.1; -3.9; -5.3; 0.2; -2.0; -4.2; -27.0; -3.4; -1.4; -9.6; -1.3; -2.0; -17.9; 0.0; -79.0; -3.8